Record 1
# La2UTe4, relaxed, DFT GGA-PBE
# * ΔH_f (0 K): -1.49 eV per atom
# * E (MP2020): -176.70 eV/cell
data_La2UTe4
_chemical_formula_sum 'La8 U4 Te16'
_cell_length_a 9.587
_cell_length_b 9.587
_cell_length_c 9.538
_cell_angle_alpha 90.00
_cell_angle_beta 90.00
_cell_angle_gamma 90.00
_space_group_name_H-M_alt 'I -4 2 d'
_space_group_IT_number 122
_space_group_name_Hall 'I -4 2bw'
loop_
_atom_site_label
_atom_site_type_symbol
_atom_site_fract_x
_atom_site_fract_y
_atom_site_fract_z
_atom_site_occupancy
La1 La 0.126 0.750 0.125 1
U1 U 0.000 0.000 0.500 1
Te1 Te 0.075 0.675 0.456 1

---

Record 2
# BaH4C2O6, relaxed, DFT GGA-PBE
# * ΔH_f (0 K): -1.78 eV per atom
# * E (MP2020): -347.20 eV/cell
data_BaH4C2O6
_chemical_formula_sum 'Ba4 H16 C8 O24'
_cell_length_a 7.562
_cell_length_b 11.169
_cell_length_c 7.188
_cell_angle_alpha 90.00
_cell_angle_beta 104.97
_cell_angle_gamma 90.00
_space_group_name_H-M_alt 'P 1 21/c 1'
_space_group_IT_number 14
loop_
_space_group_symop_operation_xyz
'x,y,z'
'-x,-y,-z'
'-x,y+1/2,-z+1/2'
'x,-y+1/2,z+1/2'
loop_
_atom_site_label
_atom_site_type_symbol
_atom_site_fract_x
_atom_site_fract_y
_atom_site_fract_z
_atom_site_occupancy
Ba1 Ba 0.198 0.010 0.292 1
H1 H 0.248 0.215 0.903 1
H2 H 0.364 0.527 0.276 1
H3 H 0.404 0.107 0.740 1
H4 H 0.459 0.246 0.463 1
C1 C 0.041 0.747 0.492 1
C2 C 0.213 0.701 0.428 1
O1 O 0.015 0.642 0.998 1
O2 O 0.059 0.165 0.964 1
O3 O 0.235 0.589 0.429 1
O4 O 0.316 0.721 0.883 1
O5 O 0.349 0.248 0.852 1
O6 O 0.419 0.024 0.693 1

---

Record 3
# InGeTe2, relaxed, DFT GGA-PBE
# * ΔH_f (0 K): -0.40 eV per atom
# * E (MP2020): -45.83 eV/cell
data_InGeTe2
_chemical_formula_sum 'In3 Ge3 Te6'
_cell_length_a 4.3424
_cell_length_b 4.3424
_cell_length_c 21.3057
_cell_angle_alpha 90.00
_cell_angle_beta 90.00
_cell_angle_gamma 120.00
_space_group_name_H-M_alt 'R -3 m'
_space_group_IT_number 166
_space_group_name_Hall '-R 3 2"'
loop_
_atom_site_label
_atom_site_type_symbol
_atom_site_fract_x
_atom_site_fract_y
_atom_site_fract_z
_atom_site_occupancy
In1 In 0.0000 0.0000 0.0000 1
Ge1 Ge 0.0000 0.0000 0.5000 1
Te1 Te 0.0000 0.0000 0.2455 1

---

Record 4
# Bi2SO7, relaxed, DFT GGA-PBE
# * ΔH_f (0 K): -1.51 eV per atom
# * E (MP2020): -246.59 eV/cell
data_Bi2SO7
_chemical_formula_sum 'Bi8 S4 O28'
_cell_length_a 8.065
_cell_length_b 12.869
_cell_length_c 5.869
_cell_angle_alpha 90.00
_cell_angle_beta 109.97
_cell_angle_gamma 90.00
_space_group_name_H-M_alt 'P 1 21/c 1'
_space_group_IT_number 14
loop_
_space_group_symop_operation_xyz
'x,y,z'
'-x,-y,-z'
'-x,y+1/2,-z+1/2'
'x,-y+1/2,z+1/2'
loop_
_atom_site_label
_atom_site_type_symbol
_atom_site_fract_x
_atom_site_fract_y
_atom_site_fract_z
_atom_site_occupancy
Bi1 Bi 0.046 0.135 0.431 1
Bi2 Bi 0.297 0.623 0.780 1
S1 S 0.376 0.137 0.094 1
O1 O 0.095 0.585 0.442 1
O2 O 0.102 0.735 0.867 1
O3 O 0.140 0.538 0.955 1
O4 O 0.238 0.205 0.136 1
O5 O 0.313 0.092 0.848 1
O6 O 0.410 0.053 0.285 1
O7 O 0.456 0.694 0.361 1

---

Record 5
# Gd2O3, relaxed, DFT GGA-PBE
# * ΔH_f (0 K): -3.69 eV per atom
# * E (MP2020): -61.44 eV/cell
data_Gd2O3
_chemical_formula_sum 'Gd2 O3'
_cell_length_a 3.839
_cell_length_b 3.839
_cell_length_c 5.637
_cell_angle_alpha 90.00
_cell_angle_beta 90.00
_cell_angle_gamma 90.00
_space_group_name_H-M_alt 'P -4 m 2'
_space_group_IT_number 115
loop_
_space_group_symop_operation_xyz
'x,y,z'
'y,-x,-z'
'-x,-y,z'
'-y,x,-z'
'-x,y,z'
'-y,-x,-z'
'x,-y,z'
'y,x,-z'
loop_
_atom_site_label
_atom_site_type_symbol
_atom_site_fract_x
_atom_site_fract_y
_atom_site_fract_z
_atom_site_occupancy
Gd1 Gd 0.000 0.500 0.215 1
O1 O 0.000 0.000 0.000 1
O2 O 0.000 0.000 0.500 1
O3 O 0.500 0.500 0.000 1

---

Record 6
# MnB, relaxed, DFT GGA-PBE
# * ΔH_f (0 K): -0.50 eV per atom
data_MnB
_chemical_formula_sum 'Mn4 B4'
_cell_length_a 5.462
_cell_length_b 2.983
_cell_length_c 4.123
_cell_angle_alpha 90.00
_cell_angle_beta 90.00
_cell_angle_gamma 90.00
_space_group_name_H-M_alt 'P n m a'
_space_group_IT_number 62
loop_
_space_group_symop_operation_xyz
'x,y,z'
'-x,-y,-z'
'-x+1/2,-y,z+1/2'
'x+1/2,y,-z+1/2'
'x+1/2,-y+1/2,-z+1/2'
'-x+1/2,y+1/2,z+1/2'
'-x,y+1/2,-z'
'x,-y+1/2,z'
loop_
_atom_site_label
_atom_site_type_symbol
_atom_site_fract_x
_atom_site_fract_y
_atom_site_fract_z
_atom_site_occupancy
Mn1 Mn 0.175 0.250 0.123 1
B1 B 0.033 0.250 0.615 1